No. 1
# Rb

Rb after structural relaxation (PBE, the Materials Project database).

Calculated values
Symmetry ... P6_3/mmc (194)
Calculated formation energy ... 0.010 eV/atom
Polymorph energy (0 for the lowest one) ... 0.010 eV per atom

Structure (POSCAR):
```
Rb
1.0
5.051 0.000 0.000
-2.525 4.374 0.000
0.000 0.000 8.193
Rb
2
Cartesian
0.000 2.916 2.048
2.525 1.458 6.144
```

***

No. 2
# Rb3Re

Rb3Re after structural relaxation (PBE, the Materials Project database).

Calculated values
Symmetry ... Fm-3m (225)
Calculated formation energy ... 1.557 eV/atom
Polymorph energy (0 for the lowest one) ... 0.001 eV per atom
Total magnetization ... 3.9 μB per formula unit

Structure (POSCAR):
```
Rb3Re
1.0
0.000 4.647 4.647
4.647 0.000 4.647
4.647 4.647 0.000
Rb Re
3 1
Cartesian
0.000 0.000 0.000
2.324 2.324 2.324
6.971 6.971 6.971
4.647 4.647 4.647
```

***

No. 3
# Rb3Re

Rb3Re after structural relaxation (PBE, the Materials Project database).

Calculated values
Symmetry ... Pm-3m (221)
Calculated formation energy ... 1.575 eV/atom
Polymorph energy (0 for the lowest one) ... 0.019 eV per atom
Total magnetization ... 3.8 μB per formula unit

Structure (POSCAR):
```
Rb3Re
1.0
6.061 0.000 0.000
0.000 6.061 0.000
0.000 0.000 6.061
Rb Re
3 1
Cartesian
0.000 0.000 3.030
0.000 3.030 0.000
3.030 0.000 0.000
3.030 3.030 3.030
```

***

No. 4
# Rb3Re

Rb3Re after structural relaxation (PBE, the Materials Project database).

Calculated values
Symmetry ... I4/mmm (139)
Calculated formation energy ... 1.557 eV/atom
Polymorph energy (0 for the lowest one) ... 0.000 eV per atom
Total magnetization ... 3.9 μB per formula unit

Structure (POSCAR):
```
Rb3Re
1.0
-3.022 3.022 5.572
3.022 -3.022 5.572
3.022 3.022 -5.572
Rb Re
3 1
Cartesian
0.000 0.000 0.000
3.022 0.000 2.786
0.000 3.022 2.786
0.000 0.000 5.572
```

***

No. 5
# Rb5Re3S7

Rb5Re3S7 after structural relaxation (PBE, the Materials Project database).

Calculated values
Symmetry ... P1 (1)
Calculated formation energy ... -1.103 eV/atom

Structure (POSCAR):
```
Rb5Re3S7
1.0
10.742 0.000 0.000
5.286 9.353 0.000
5.278 3.123 8.877
Rb Re S
10 6 14
Cartesian
0.000 0.000 0.000
5.332 6.674 3.883
7.570 10.556 3.768
7.511 6.894 8.441
9.769 6.734 3.844
9.819 9.340 0.074
12.058 10.645 3.809
9.845 3.042 5.060
12.992 4.961 2.856
18.269 10.652 7.572
11.546 8.302 7.159
6.265 3.642 0.457
7.589 5.953 0.458
12.890 5.989 7.167
14.217 8.314 7.167
8.940 3.654 0.465
5.140 5.819 0.364
4.504 2.699 1.852
9.825 9.284 5.774
7.558 7.951 1.873
10.457 6.098 7.228
12.871 10.361 7.253
7.592 4.409 2.365
12.899 7.531 5.254
7.619 1.588 0.374
10.046 5.841 0.382
12.879 3.969 5.793
15.930 9.327 5.780
10.695 2.724 1.893
15.313 6.119 7.244
```

***

No. 6
# Rb4Re6S13

Rb4Re6S13 after structural relaxation (PBE, the Materials Project database).

Calculated values
Symmetry ... C2/c (15)
Calculated formation energy ... -1.052 eV/atom

Structure (POSCAR):
```
Rb4Re6S13
1.0
4.981 -8.455 0.000
4.981 8.455 0.000
-2.373 0.000 13.955
Rb Re S
8 12 26
Cartesian
1.200 2.353 8.624
1.460 0.509 4.697
0.273 -0.509 11.675
2.387 -2.353 1.646
5.202 2.353 12.309
7.315 0.509 2.280
6.129 -0.509 9.258
6.389 -2.353 5.331
3.368 4.932 1.511
1.549 4.723 12.879
3.292 2.561 0.299
4.853 4.723 8.053
5.408 4.932 5.467
2.105 -2.561 7.276
5.483 2.561 6.679
2.181 -4.932 8.488
2.736 -4.723 5.902
4.297 -2.561 13.656
6.040 -4.723 1.076
4.221 -4.932 12.444
-1.294 1.610 13.859
4.388 6.063 3.489
2.911 5.235 9.450
2.717 2.887 2.626
1.398 2.530 11.890
-0.107 -1.610 6.882
3.425 3.784 6.310
3.491 5.235 11.482
5.351 3.784 0.668
4.284 0.302 0.756
3.098 -0.302 7.734
1.530 -2.887 9.603
2.585 -2.530 4.913
5.004 2.530 9.042
6.058 2.887 4.352
4.491 0.302 6.221
3.305 -0.302 13.199
2.238 -3.784 13.287
4.098 -5.235 2.473
4.164 -3.784 7.645
7.696 1.610 7.073
6.190 -2.530 2.065
4.872 -2.887 11.329
4.678 -5.235 4.505
3.201 -6.063 10.466
8.882 -1.610 0.096
```

***

What is the calculated formation energy in the second record? 1.557 eV/atom